1.
# Sr3WO6

A geometry-optimized Sr3WO6 structure (GGA+U, Materials Project).

Properties
**ΔE_f**: -2.9951 eV per atom
**E (MP2020)**: -7.767 eV per atom
**VASP energy**: -414.63 eV per cell
**Calculated density**: 5.43 g/cm³

Cell: 9.9335 9.9335 11.6568 Å, 90.00 90.00 120.00°
Closest atoms and distances in Å follow each position.
Space group R-3 (No. 148, hexagonal axes)
One atom of each set of equivalent atoms:
Sr 0.0404 0.7716 0.2069 [18 per cell]  6 O 2.48-2.63
W 0.0000 0.0000 0.0000 [3 per cell]  6 O 1.97
W 0.0000 0.0000 0.5000 [3 per cell]  6 O 1.98
O 0.0257 0.8478 0.4068 [18 per cell]  1 W 1.98
O 0.0260 0.8540 0.9006 [18 per cell]  1 W 1.97



2.
# ZnW2O6

A geometry-optimized ZnW2O6 structure (GGA+U, Materials Project).

Properties
**ΔE_f**: -1.9631 eV per atom
**E (MP2020)**: -8.281 eV per atom
**VASP energy**: -123.07 eV per cell
**Calculated density**: 7.83 g/cm³

Cell: 7.6708 5.4721 5.3474 Å, 90.00 90.00 90.00°
Closest atoms and distances in Å follow each position.
Space group Pmn2_1 (No. 31)
One atom of each set of equivalent atoms:
Zn 0.0000 0.2351 0.0000 [2 per cell]  3 O 1.96-2.01
W 0.2491 0.7476 0.0002 [4 per cell]  6 O 1.95-2.07
O 0.0000 0.2262 0.6335 [2 per cell]  1 Zn 1.96, 2 W 2.06
O 0.0000 0.7262 0.9051 [2 per cell]  2 W 1.98
O 0.1943 0.0603 0.1762 [4 per cell]  2 W 2.00-2.07, 1 Zn 2.01
O 0.2008 0.5394 0.2973 [4 per cell]  2 W 1.95-1.99



3.
# V2Fe3SnP6O24

A geometry-optimized V2Fe3SnP6O24 structure (GGA+U, Materials Project).

Properties
**ΔE_f**: -2.4230 eV per atom
**E (MP2020)**: -7.946 eV per atom
**VASP energy**: -778.17 eV per cell
**Calculated density**: 3.50 g/cm³

Cell: 8.6878 8.6878 20.8722 Å, 90.00 90.00 120.00°
Closest atoms and distances in Å follow each position.
Space group R3 (No. 146, hexagonal axes)
One atom of each set of equivalent atoms:
V 0.0000 0.0000 0.0000 [3 per cell]  6 O 2.17-2.18
V 0.0000 0.0000 0.4957 [3 per cell]  6 O 2.12-2.22
Fe 0.0000 0.0000 0.1456 [3 per cell]  6 O 1.94-2.10
Fe 0.0000 0.0000 0.3519 [3 per cell]  6 O 1.93-2.13
Fe 0.0000 0.0000 0.8534 [3 per cell]  6 O 1.94-2.11
Sn 0.0000 0.0000 0.6441 [3 per cell]  6 O 2.01-2.12
P 0.0012 0.3006 0.7503 [9 per cell]  4 O 1.52-1.56
P 0.0406 0.6708 0.9158 [9 per cell]  4 O 1.52-1.59
O 0.0073 0.2002 0.8091 [9 per cell]  1 P 1.52
O 0.0079 0.8057 0.3099 [9 per cell]  1 P 1.52
O 0.0121 0.1791 0.4241 [9 per cell]  1 P 1.56
O 0.0147 0.8347 0.9245 [9 per cell]  1 P 1.56
O 0.1290 0.4581 0.3541 [9 per cell]  1 P 1.54
O 0.1399 0.6756 0.8550 [9 per cell]  1 P 1.52
O 0.1659 0.6810 0.2397 [9 per cell]  1 P 1.59
O 0.1668 0.4893 0.7417 [9 per cell]  1 P 1.56